VASP calculation (PBE+U) on crystalline MgMn4O8 at its relaxed geometry.

Crystal system: monoclinic
E_form in eV per atom: -2.0384

Lattice parameters (Å, degrees): 9.4173 6.0385 13.9897 90.00 130.64 90.00
Space group P2_1/c (No. 14)
One atom of each set of equivalent atoms:
Mg 0.1766 0.1312 0.4105 (multiplicity 4)
Mn 0.1801 0.1128 0.6033 (multiplicity 4)
Mn 0.1851 0.6171 0.5908 (multiplicity 4)
Mn 0.4530 0.6341 0.3871 (multiplicity 4)
Mn 0.4725 0.1344 0.3937 (multiplicity 4)
O 0.0726 0.5950 0.9580 (multiplicity 4)
O 0.0789 0.1453 0.9743 (multiplicity 4)
O 0.2532 0.6377 0.2081 (multiplicity 4)
O 0.2662 0.1463 0.2179 (multiplicity 4)
O 0.3441 0.6007 0.9127 (multiplicity 4)
O 0.3549 0.1502 0.9254 (multiplicity 4)
O 0.3941 0.1068 0.6091 (multiplicity 4)
O 0.4083 0.6166 0.6106 (multiplicity 4)

VASP calculation (PBE+U) on crystalline Li3FePCO7 at its relaxed geometry.

Crystal system: monoclinic
E_form in eV per atom: -2.3211

Lattice parameters (Å, degrees): 8.5782 6.4408 9.7769 90.00 95.04 90.00
Space group P2_1/c (No. 14)
One atom of each set of equivalent atoms:
Li 0.1030 0.2504 0.1132 (multiplicity 4)
Li 0.2858 0.0138 0.3824 (multiplicity 4)
Li 0.3537 0.7441 0.1091 (multiplicity 4)
Fe 0.2666 0.5006 0.3712 (multiplicity 4)
P 0.4080 0.2482 0.6398 (multiplicity 4)
C 0.0410 0.7461 0.1491 (multiplicity 4)
O 0.0704 0.7431 0.5234 (multiplicity 4)
O 0.1047 0.2463 0.8167 (multiplicity 4)
O 0.1529 0.7301 0.2478 (multiplicity 4)
O 0.3076 0.0601 0.5886 (multiplicity 4)
O 0.3128 0.0582 0.0817 (multiplicity 4)
O 0.4201 0.2475 0.3003 (multiplicity 4)
O 0.4244 0.7447 0.9082 (multiplicity 4)

VASP calculation (PBE+U) on crystalline NiH2O2 at its relaxed geometry.

Crystal system: monoclinic
E_form in eV per atom: -1.2272
Largest piezoelectric modulus in C/m²: 0.3

Lattice parameters (Å, degrees): 5.4829 3.1514 7.6343 90.00 93.76 90.00
Space group C2 (No. 5)
One atom of each set of equivalent atoms:
Ni 0.0000 0.0000 0.0000 (multiplicity 2)
H 0.1395 0.4757 0.7399 (multiplicity 4)
O 0.1554 0.4984 0.8664 (multiplicity 4)

VASP calculation (PBE+U) on crystalline CsMnP3HO10 at its relaxed geometry.

Crystal system: monoclinic
E_form in eV per atom: -2.4876
Largest piezoelectric modulus in C/m²: 0.2

Lattice parameters (Å, degrees): 9.1335 8.7812 6.6053 90.00 113.27 90.00
Space group C2 (No. 5)
One atom of each set of equivalent atoms:
Cs 0.0000 0.0000 0.0000 (multiplicity 2)
Mn 0.0000 0.3348 0.5000 (multiplicity 2)
P 0.0000 0.4341 0.0000 (multiplicity 2)
P 0.1769 0.6183 0.3930 (multiplicity 4)
H 0.0000 0.7503 0.5000 (multiplicity 2)
O 0.0555 0.7462 0.3614 (multiplicity 4)
O 0.0645 0.3462 0.8582 (multiplicity 4)
O 0.1402 0.5491 0.1486 (multiplicity 4)
O 0.1501 0.1685 0.5233 (multiplicity 4)
O 0.1640 0.4885 0.5417 (multiplicity 4)

VASP calculation (PBE+U) on crystalline Li9Mn2Co5O16 at its relaxed geometry.

Crystal system: triclinic
E_form in eV per atom: -1.8416

Lattice parameters (Å, degrees): 5.9042 6.4522 7.8411 86.02 75.95 76.94
Space group P1 (No. 1)
One atom of each set of equivalent atoms:
Li 0.0000 0.0000 0.0000 (multiplicity 1)
Li 0.0592 0.1217 0.6283 (multiplicity 1)
Li 0.1215 0.2416 0.2567 (multiplicity 1)
Li 0.2436 0.4912 0.5099 (multiplicity 1)
Li 0.3615 0.7499 0.7475 (multiplicity 1)
Li 0.4938 0.0024 0.0018 (multiplicity 1)
Li 0.6228 0.2415 0.2564 (multiplicity 1)
Li 0.7518 0.4926 0.5090 (multiplicity 1)
Li 0.8808 0.7505 0.7473 (multiplicity 1)
Mn 0.5593 0.1221 0.6287 (multiplicity 1)
Mn 0.8097 0.6205 0.1286 (multiplicity 1)
Co 0.1768 0.3704 0.8714 (multiplicity 1)
Co 0.3102 0.6221 0.1289 (multiplicity 1)
Co 0.4335 0.8708 0.3822 (multiplicity 1)
Co 0.6883 0.3700 0.8759 (multiplicity 1)
Co 0.9413 0.8742 0.3860 (multiplicity 1)
O 0.0178 0.5772 0.2961 (multiplicity 1)
O 0.0811 0.6697 0.9460 (multiplicity 1)
O 0.1688 0.8094 0.5483 (multiplicity 1)
O 0.2060 0.9126 0.1956 (multiplicity 1)
O 0.2879 0.0757 0.8145 (multiplicity 1)
O 0.3636 0.1619 0.4527 (multiplicity 1)
O 0.4115 0.3341 0.0584 (multiplicity 1)
O 0.4509 0.4183 0.6930 (multiplicity 1)
O 0.5387 0.5743 0.3090 (multiplicity 1)
O 0.6021 0.6650 0.9631 (multiplicity 1)
O 0.6668 0.8269 0.5660 (multiplicity 1)
O 0.7079 0.9136 0.1973 (multiplicity 1)
O 0.7526 0.0812 0.8038 (multiplicity 1)
O 0.8308 0.1676 0.4431 (multiplicity 1)
O 0.9150 0.3241 0.0634 (multiplicity 1)
O 0.9472 0.4302 0.7059 (multiplicity 1)

VASP calculation (PBE+U) on crystalline Li9Mn2Co5O16 at its relaxed geometry.

Crystal system: monoclinic
E_form in eV per atom: -1.8606

Lattice parameters (Å, degrees): 5.0022 5.8641 9.8102 90.00 100.73 90.00
Space group P2/m (No. 10)
One atom of each set of equivalent atoms:
Li 0.0000 0.0000 0.0000 (multiplicity 1)
Li 0.2382 0.2474 0.2478 (multiplicity 4)
Li 0.2401 0.0000 0.7534 (multiplicity 2)
Li 0.2412 0.5000 0.7527 (multiplicity 2)
Mn 0.5000 0.2465 0.0000 (multiplicity 2)
Co 0.0000 0.2495 0.5000 (multiplicity 2)
Co 0.0000 0.5000 0.0000 (multiplicity 1)
Co 0.5000 0.0000 0.5000 (multiplicity 1)
Co 0.5000 0.5000 0.5000 (multiplicity 1)
O 0.1321 0.0000 0.3817 (multiplicity 2)
O 0.1370 0.5000 0.3837 (multiplicity 2)
O 0.1411 0.2645 0.8895 (multiplicity 4)
O 0.3634 0.2532 0.6161 (multiplicity 4)
O 0.3692 0.5000 0.1072 (multiplicity 2)
O 0.3999 0.0000 0.1116 (multiplicity 2)